[1]
BaCuO2: relaxed, meta-GGA r2SCAN.

a b c (Å): 3.996 4.025 8.526
angles (deg): 90.00 76.45 90.00
Fractional coordinates of all 8 atoms:
Cu: 0.062 0.250 0.876
Cu: 0.938 0.750 0.124
Ba: 0.664 0.750 0.673
Ba: 0.336 0.250 0.327
O: 0.175 0.250 0.649
O: 0.949 0.250 0.102
O: 0.825 0.750 0.351
O: 0.051 0.750 0.898

Results
**Calculated volume**: 16.7 A^3/atom
**E_form**: -7.3 eV per formula unit
**DFT total energy**: -14.142 eV per atom


[2]
Ir2Se9Cl6: relaxed, meta-GGA r2SCAN.

a b c (Å): 14.955 14.955 14.955
angles (deg): 130.56 130.56 72.51
Fractional coordinates of all 68 atoms:
Se: 0.051 0.691 0.643
Se: 0.060 0.584 0.808
Se: 0.058 0.120 0.875
Se: 0.158 0.301 0.860
Se: 0.309 0.952 0.360
Se: 0.329 0.083 0.906
Se: 0.002 0.310 0.976
Se: 0.917 0.824 0.246
Se: 0.505 0.067 0.375
Se: 0.974 0.998 0.308
Se: 0.421 0.167 0.594
Se: 0.048 0.408 0.357
Se: 0.636 0.636 0.000
Se: 0.692 0.130 0.625
Se: 0.574 0.828 0.406
Se: 0.817 0.942 0.062
Se: 0.702 0.842 0.143
Se: 0.592 0.949 0.640
Se: 0.699 0.559 0.857
Se: 0.334 0.026 0.024
Se: 0.880 0.755 0.938
Se: 0.364 0.364 0.000
Se: 0.748 0.940 0.524
Se: 0.870 0.495 0.562
Se: 0.386 0.886 0.500
Se: 0.176 0.422 0.094
Se: 0.933 0.308 0.438
Se: 0.776 0.252 0.192
Se: 0.114 0.614 0.500
Se: 0.833 0.426 0.254
Se: 0.690 0.666 0.692
Se: 0.245 0.183 0.125
Se: 0.172 0.579 0.746
Se: 0.416 0.224 0.476
Se: 0.578 0.671 0.754
Se: 0.441 0.298 0.140
Ir: 0.122 0.375 0.529
Ir: 0.846 0.593 0.471
Ir: 0.628 0.875 0.971
Ir: 0.904 0.657 0.029
Ir: 0.125 0.096 0.752
Ir: 0.343 0.372 0.248
Ir: 0.625 0.154 0.748
Ir: 0.407 0.878 0.252
Cl: 0.207 0.317 0.681
Cl: 0.310 0.677 0.101
Cl: 0.440 0.573 0.399
Cl: 0.231 0.901 0.070
Cl: 0.175 0.042 0.601
Cl: 0.958 0.560 0.133
Cl: 0.427 0.825 0.867
Cl: 0.519 0.349 0.430
Cl: 0.543 0.933 0.819
Cl: 0.830 0.161 0.930
Cl: 0.792 0.690 0.367
Cl: 0.911 0.481 0.831
Cl: 0.839 0.769 0.669
Cl: 0.114 0.724 0.181
Cl: 0.099 0.170 0.331
Cl: 0.920 0.089 0.570
Cl: 0.474 0.793 0.110
Cl: 0.683 0.364 0.890
Cl: 0.323 0.425 0.633
Cl: 0.575 0.208 0.899
Cl: 0.636 0.526 0.319
Cl: 0.276 0.457 0.390
Cl: 0.067 0.886 0.610
Cl: 0.651 0.080 0.169

Results
**Calculated volume**: 27.7 A^3/atom
**E_form**: -6.6 eV per formula unit
**DFT total energy**: -16.294 eV per atom


[3]
Li8SnO6: relaxed, meta-GGA r2SCAN.

a b c (Å): 5.967 5.967 5.967
angles (deg): 54.22 54.22 54.22
Fractional coordinates of all 15 atoms:
Li: 0.345 0.345 0.345
Li: 0.899 0.235 0.505
Li: 0.101 0.765 0.495
Li: 0.235 0.505 0.899
Li: 0.495 0.101 0.765
Li: 0.505 0.899 0.235
Li: 0.655 0.655 0.655
Li: 0.765 0.495 0.101
O: 0.094 0.386 0.764
O: 0.764 0.094 0.386
O: 0.906 0.614 0.236
O: 0.614 0.236 0.906
O: 0.236 0.906 0.614
O: 0.386 0.764 0.094
Sn: 0.000 0.000 0.000

Results
**Calculated volume**: 8.7 A^3/atom
**E_form**: -31.1 eV per formula unit
**DFT total energy**: -7.387 eV per atom


[4]
Er2MoO6: relaxed, meta-GGA r2SCAN.

a b c (Å): 9.782 9.782 5.290
angles (deg): 74.78 74.78 67.80
Fractional coordinates of all 36 atoms:
O: 0.432 0.024 0.757
O: 0.288 0.186 0.139
O: 0.712 0.814 0.861
O: 0.428 0.389 0.579
O: 0.674 0.114 0.628
O: 0.951 0.890 0.486
O: 0.186 0.288 0.639
O: 0.806 0.337 0.418
O: 0.194 0.663 0.582
O: 0.976 0.568 0.743
O: 0.814 0.712 0.361
O: 0.663 0.194 0.082
O: 0.024 0.432 0.257
O: 0.886 0.326 0.872
O: 0.389 0.428 0.079
O: 0.110 0.049 0.014
O: 0.337 0.806 0.918
O: 0.611 0.572 0.921
O: 0.568 0.976 0.243
O: 0.114 0.674 0.128
O: 0.049 0.110 0.514
O: 0.326 0.886 0.372
O: 0.890 0.951 0.986
O: 0.572 0.611 0.421
Er: 0.863 0.137 0.250
Er: 0.137 0.863 0.750
Er: 0.217 0.450 0.878
Er: 0.450 0.217 0.378
Er: 0.550 0.783 0.622
Er: 0.607 0.393 0.750
Er: 0.783 0.550 0.122
Er: 0.393 0.607 0.250
Mo: 0.295 0.015 0.063
Mo: 0.705 0.985 0.937
Mo: 0.985 0.705 0.437
Mo: 0.015 0.295 0.563

Results
**Calculated volume**: 12.3 A^3/atom
**E_form**: -29.4 eV per formula unit
**DFT total energy**: -17.685 eV per atom


[5]
Mn2ZnTe4: relaxed, meta-GGA r2SCAN.

a b c (Å): 8.153 8.153 8.152
angles (deg): 60.00 60.00 59.99
Fractional coordinates of all 14 atoms:
Te: 0.757 0.757 0.757
Te: 0.243 0.243 0.772
Te: 0.243 0.243 0.243
Te: 0.228 0.757 0.757
Te: 0.757 0.228 0.757
Te: 0.243 0.772 0.243
Te: 0.757 0.757 0.228
Te: 0.772 0.243 0.243
Zn: 0.625 0.625 0.625
Zn: 0.375 0.375 0.375
Mn: 0.000 0.000 0.500
Mn: 0.000 0.500 0.000
Mn: 0.500 0.000 0.000
Mn: 0.000 0.000 0.000

Results
**Calculated volume**: 27.4 A^3/atom
**E_form**: -3.6 eV per formula unit
**DFT total energy**: -20.503 eV per atom


[6]
TeBr4: relaxed, meta-GGA r2SCAN.

a b c (Å): 10.647 10.647 15.720
angles (deg): 95.16 106.21 117.07
Fractional coordinates of all 40 atoms:
Te: 0.202 0.663 0.818
Te: 0.846 0.233 0.610
Te: 0.345 0.385 0.682
Te: 0.154 0.767 0.390
Te: 0.798 0.337 0.182
Te: 0.655 0.615 0.318
Te: 0.878 0.764 0.110
Te: 0.122 0.236 0.890
Br: 0.824 0.637 0.951
Br: 0.739 0.237 0.015
Br: 0.568 0.121 0.192
Br: 0.304 0.642 0.437
Br: 0.186 0.873 0.549
Br: 0.368 0.993 0.376
Br: 0.814 0.127 0.451
Br: 0.498 0.267 0.747
Br: 0.705 0.866 0.063
Br: 0.935 0.879 0.313
Br: 0.935 0.378 0.813
Br: 0.570 0.624 0.692
Br: 0.722 0.724 0.485
Br: 0.979 0.249 0.247
Br: 0.432 0.879 0.808
Br: 0.502 0.733 0.253
Br: 0.295 0.134 0.937
Br: 0.117 0.992 0.124
Br: 0.065 0.622 0.187
Br: 0.021 0.751 0.753
Br: 0.632 0.007 0.624
Br: 0.384 0.510 0.876
Br: 0.176 0.363 0.049
Br: 0.866 0.491 0.376
Br: 0.616 0.490 0.124
Br: 0.065 0.121 0.687
Br: 0.278 0.276 0.515
Br: 0.430 0.376 0.308
Br: 0.134 0.509 0.624
Br: 0.883 0.008 0.876
Br: 0.696 0.358 0.563
Br: 0.261 0.763 0.985

Results
**Calculated volume**: 36.8 A^3/atom
**E_form**: -2.1 eV per formula unit
**DFT total energy**: -16.110 eV per atom


[7]
Rh: relaxed, meta-GGA r2SCAN.

a b c (Å): 2.692 2.692 8.798
angles (deg): 90.00 90.00 120.00
Fractional coordinates of all 4 atoms:
Rh: 0.333 0.667 0.250
Rh: 0.000 0.000 0.500
Rh: 0.000 0.000 0.000
Rh: 0.667 0.333 0.750

Results
**Calculated volume**: 13.8 A^3/atom
**Energy relative to the lowest polymorph listed for this composition**: 22.0 meV/atom
**E_form**: 0.0 eV per formula unit
**DFT total energy**: -24.114 eV per atom


[8]
TbGe2Rh2: relaxed, meta-GGA r2SCAN.

a b c (Å): 4.111 4.111 5.915
angles (deg): 110.34 110.34 90.00
Fractional coordinates of all 5 atoms:
Rh: 0.250 0.750 0.500
Rh: 0.750 0.250 0.500
Tb: 0.000 0.000 0.000
Ge: 0.622 0.622 0.244
Ge: 0.378 0.378 0.756

Results
**Calculated volume**: 17.4 A^3/atom
**E_form**: -4.9 eV per formula unit
**DFT total energy**: -22.420 eV per atom